Compound: LiMnPO4
Source: the Materials Project
Functional: GGA+U
Structure: relaxed Values from VASP.

polymorph energy (0 for the lowest one): 0.186 eV per atom
electronic total energy: -6.9993 eV/atom
volume: 1489.2 Å³/cell
crystal system: monoclinic

Cell and atoms, written as Quantum ESPRESSO input:
```
&SYSTEM
  ibrav = 0, nat = 112, ntyp = 4
/
ATOMIC_SPECIES
Li 6.94 Li.upf
Mn 54.94 Mn.upf
P 30.97 P.upf
O 16.00 O.upf
ATOMIC_POSITIONS angstrom
Li 5.7777 4.7110 8.2864
Li 1.8473 1.9526 8.2637
Li 0.3603 0.6888 12.3955
Li 5.3331 2.8983 12.4111
Li 7.9335 1.8406 4.1028
Li 3.4889 -0.6888 4.1091
Li 3.1062 0.6074 16.5395
Li -1.2812 -1.9526 16.5501
Li 10.1754 2.1640 8.2535
Li 6.2348 -0.6074 8.2531
Li 4.8050 -1.8406 12.3892
Li 9.7757 0.3843 12.4094
Li 8.4616 -2.8983 4.1247
Li 12.9042 -0.3843 4.1230
Li 7.0468 -2.1640 16.5399
Li 8.9062 -4.7110 0.0000
Mn 1.7701 3.1306 14.4686
Mn -2.1833 0.3428 14.4405
Mn 0.9453 -0.3428 6.1541
Mn 5.4449 2.1595 6.1679
Mn 10.2728 2.8968 2.0356
Mn 5.8310 0.3717 2.0289
Mn 2.7024 -0.3717 10.3153
Mn 7.6926 1.8550 10.3305
Mn 6.2703 0.6354 14.4579
Mn 2.3164 -2.1595 14.4543
Mn 4.8986 -3.1306 6.1822
Mn 9.3989 -0.6354 6.1715
Mn 15.2612 0.6964 2.0455
Mn 10.8211 -1.8550 2.0441
Mn 7.1442 -2.8968 10.3220
Mn 12.1327 -0.6964 10.3319
P 6.8637 4.7276 5.1618
P 2.4503 2.1900 5.1619
P 7.3957 2.8498 1.0000
P 2.9810 0.3151 0.9995
P -0.1475 -0.3151 9.2859
P 4.7921 1.9150 9.3162
P 3.2849 0.6111 13.4217
P -0.6783 -2.1900 13.4483
P 10.8318 1.9177 5.1374
P 6.4134 -0.6111 5.1354
P 12.3441 0.6089 1.0197
P 7.9206 -1.9150 1.0298
P 4.2671 -2.8498 9.2863
P 9.2156 -0.6089 9.3061
P 7.7032 -1.9177 13.4237
P 3.7352 -4.7276 13.4482
O 2.9996 4.8110 14.7067
O -1.4467 2.2740 14.7053
O -0.6475 0.3400 4.9742
O 3.8552 2.8157 4.9510
O -1.5721 0.2878 9.4109
O -3.7761 -0.3400 13.2606
O 5.9670 2.2630 1.1452
O 1.5564 -0.2878 1.1245
O 5.0561 2.8445 8.0945
O 0.6512 0.3117 8.1048
O 7.0522 3.1926 5.3149
O 2.5924 0.6501 5.3138
O 4.6396 2.8277 10.5713
O 1.8897 2.2368 16.3510
O -2.4774 -0.3117 16.3912
O 2.0556 1.5224 13.1536
O 3.7871 0.0043 2.2988
O 0.6586 -0.0043 10.5852
O 8.2286 2.5085 2.2743
O 3.4912 1.1025 9.0726
O -0.5361 -0.6501 13.6002
O 8.6434 3.1961 9.0599
O 4.5558 1.4864 13.6027
O 11.0181 2.9177 3.9575
O 6.5770 0.3957 3.9579
O 7.2979 2.4872 12.2513
O 5.9905 0.9490 9.5219
O 1.6818 -2.2740 6.4190
O 6.2025 0.2285 6.4339
O 3.4485 -0.3957 12.2443
O 11.0423 1.4266 0.7932
O 6.6198 -1.1025 0.7862
O 3.0740 -0.2285 14.7203
O 7.5375 2.2898 14.7288
O 9.6138 0.9955 4.8602
O 5.1841 -1.5224 4.8672
O 2.8385 -2.2630 9.4316
O 0.7267 -2.8157 13.2373
O 13.5484 1.5679 1.2283
O 9.1190 -0.9490 1.2355
O 9.4449 0.2895 8.0524
O 5.0182 -2.2368 8.0647
O 12.1032 1.0446 5.3326
O 7.6844 -1.4864 5.3163
O 9.0880 0.3192 10.5509
O 6.3164 -0.2895 16.3388
O 1.9276 -2.8445 16.3809
O 6.4852 -0.9955 13.1466
O 5.1000 -2.5085 10.5607
O 7.7682 -2.8277 2.2849
O 12.2166 -0.3192 2.2645
O 7.9138 -1.4266 9.0796
O 3.9236 -3.1926 13.6013
O 13.0907 0.6556 9.0734
O 8.9746 -1.0446 13.6190
O 14.8587 0.0230 3.9431
O 10.4264 -2.4872 3.9649
O 11.7302 -0.0230 12.2295
O 10.4198 -1.5679 9.5147
O 6.1281 -4.8110 6.4204
O 10.6660 -2.2898 6.4424
O 7.8895 -2.9177 12.2439
O 16.2192 -0.6556 0.7870
O 11.7719 -3.1961 0.7735
CELL_PARAMETERS angstrom
8.9062 -5.0447 0.0000
8.9062 5.0447 0.0000
-6.2571 0.0000 16.5728
```

Compound: Li6MnSb3P6O24
Source: the Materials Project
Functional: GGA+U
Structure: relaxed Values from VASP.

electronic total energy: -6.6035 eV/atom
volume: 494.0 Å³/cell
crystal system: triclinic

Cell and atoms, written as Quantum ESPRESSO input:
```
&SYSTEM
  ibrav = 0, nat = 40, ntyp = 5
/
ATOMIC_SPECIES
Li 6.94 Li.upf
Mn 54.94 Mn.upf
Sb 121.76 Sb.upf
P 30.97 P.upf
O 16.00 O.upf
ATOMIC_POSITIONS angstrom
Li 0.0000 0.0000 0.0000
Li 5.7257 5.9175 7.1097
Li 7.5495 8.1142 4.8248
Li 8.0892 6.1465 2.0097
Li 8.2114 3.3490 1.1503
Li 9.7659 2.3918 3.5798
Mn 10.7376 4.8596 2.3044
Sb 5.0976 6.7023 3.6869
Sb 6.3221 1.9850 5.8925
Sb 9.3124 3.9884 7.3943
P 3.6186 3.9816 5.4149
P 2.5542 1.2789 1.5779
P 5.3133 4.9913 0.5203
P 7.7447 4.6808 4.2293
P 10.4617 8.3208 2.9731
P 12.9545 8.2335 6.6382
O 1.9003 2.6871 1.6613
O 5.4807 7.6566 5.5645
O 4.6979 5.0749 5.4658
O 1.6897 0.3863 0.7093
O 4.2157 2.5256 5.5395
O 6.1103 8.4903 3.0704
O 3.8615 4.7005 0.9413
O 8.6967 8.0061 6.5841
O 4.0181 1.3529 1.0651
O 6.1409 5.7855 1.5388
O 7.1323 6.1467 4.0369
O 6.6874 3.5937 4.2982
O 9.4428 8.7143 4.1118
O 6.1398 3.6463 0.3806
O 8.5828 4.8131 5.5301
O 6.8526 1.5330 1.7525
O 8.6371 4.4091 2.9857
O 11.5602 8.3723 6.0673
O 10.0984 6.8890 2.5462
O 13.5691 9.5979 7.0642
O 11.9220 8.5176 3.4047
O 9.4671 4.9478 0.3824
O 11.3218 4.2000 6.7740
O 11.2093 4.0059 4.1945
CELL_PARAMETERS angstrom
8.5069 0.0000 0.0000
3.4554 7.7797 0.0000
3.4681 2.3068 7.4637
```

Compound: Li4Mn3SbP4O16
Source: the Materials Project
Functional: GGA+U
Structure: relaxed Values from VASP.

electronic total energy: -6.9168 eV/atom
volume: 331.0 Å³/cell
crystal system: monoclinic

Cell and atoms, written as Quantum ESPRESSO input:
```
&SYSTEM
  ibrav = 0, nat = 28, ntyp = 5
/
ATOMIC_SPECIES
Li 6.94 Li.upf
Mn 54.94 Mn.upf
Sb 121.76 Sb.upf
P 30.97 P.upf
O 16.00 O.upf
ATOMIC_POSITIONS angstrom
Li 0.0000 1.5687 0.0000
Li 0.0000 4.8323 0.0000
Li 2.2179 1.5859 5.4700
Li 2.2179 4.8151 5.4700
Mn 0.0253 3.2005 3.1727
Mn 2.0142 3.2005 8.3792
Mn 4.4102 0.0000 7.7157
Sb 2.7350 0.0000 2.2976
P 0.2722 0.0000 4.5615
P 1.7253 0.0000 9.6798
P 2.7590 3.2005 0.9318
P 4.1595 3.2005 6.4250
O 0.8155 1.3032 3.8764
O 0.8155 5.0979 3.8764
O 0.8821 0.0000 5.9998
O 0.9004 3.2005 6.4837
O 1.2267 3.2005 1.0419
O 1.0969 1.2549 8.9842
O 1.0969 5.1461 8.9842
O 1.4334 0.0000 0.3749
O 3.0544 3.2005 10.2673
O 3.4431 2.0104 1.6929
O 3.4431 4.3907 1.6929
O 3.2684 0.0000 9.6710
O 3.5152 0.0000 4.6136
O 3.5300 1.9563 7.1569
O 3.5300 4.4448 7.1569
O 3.5917 3.2005 4.9684
CELL_PARAMETERS angstrom
4.7994 0.0000 0.0000
0.0000 6.4011 0.0000
-0.2715 0.0000 10.7729
```

Compound: Li4Mn5SbP6O24
Source: the Materials Project
Functional: GGA+U
Structure: relaxed Values from VASP.

electronic total energy: -7.0747 eV/atom
volume: 498.1 Å³/cell
crystal system: triclinic

Cell and atoms, written as Quantum ESPRESSO input:
```
&SYSTEM
  ibrav = 0, nat = 40, ntyp = 5
/
ATOMIC_SPECIES
Li 6.94 Li.upf
Mn 54.94 Mn.upf
Sb 121.76 Sb.upf
P 30.97 P.upf
O 16.00 O.upf
ATOMIC_POSITIONS angstrom
Li 0.0000 0.0000 0.0000
Li 6.3513 6.1643 6.9682
Li 8.4588 6.1829 2.1639
Li 10.1374 2.3037 3.6749
Mn 8.0482 8.2654 4.7810
Mn 6.5554 2.0083 5.9090
Mn 9.7285 4.0224 7.3597
Mn 8.2934 3.1567 1.0752
Mn 10.9408 4.7274 2.2710
Sb 5.4012 6.6362 3.6586
P 12.4248 3.9740 5.2891
P 2.7212 1.2563 1.4609
P 5.3525 4.8859 0.5820
P 8.1178 4.6166 4.3665
P 10.9213 8.1513 2.9185
P 13.5061 8.4310 6.6447
O 1.8408 2.5451 1.6844
O 5.8575 7.7673 5.5071
O 4.8710 5.1227 5.1296
O 4.4294 2.5510 5.4251
O 3.9011 4.4782 0.9125
O 6.5785 8.3778 2.9410
O 2.0037 0.3874 0.4351
O 6.0017 5.7430 1.7406
O 9.0795 8.1449 6.6843
O 4.1609 1.5453 1.0861
O 7.4854 6.1137 4.1512
O 7.0603 3.5788 4.6322
O 9.9680 8.6468 4.0207
O 6.3125 3.6846 0.4540
O 9.1271 4.7510 5.4884
O 8.7794 4.3386 2.9562
O 12.1101 8.7142 6.1608
O 7.1957 1.3425 1.7275
O 10.4271 6.7565 2.4776
O 14.2479 9.6984 7.0788
O 9.6461 4.8782 0.3470
O 12.4166 8.1075 3.4277
O 11.8096 4.2902 6.6851
O 11.4414 3.9059 4.1174
CELL_PARAMETERS angstrom
8.6101 0.0000 0.0000
3.8157 7.8023 0.0000
3.8164 2.4381 7.4151
```

Compound: Li6Mn3SbP6O24
Source: the Materials Project
Functional: GGA+U
Structure: relaxed Values from VASP.

electronic total energy: -6.8018 eV/atom
volume: 485.9 Å³/cell
crystal system: triclinic

Cell and atoms, written as Quantum ESPRESSO input:
```
&SYSTEM
  ibrav = 0, nat = 40, ntyp = 5
/
ATOMIC_SPECIES
Li 6.94 Li.upf
Mn 54.94 Mn.upf
Sb 121.76 Sb.upf
P 30.97 P.upf
O 16.00 O.upf
ATOMIC_POSITIONS angstrom
Li 0.0000 0.0000 0.0000
Li 6.6552 6.1344 6.1430
Li 8.7957 8.2681 4.7797
Li 8.1466 6.2835 2.2841
Li 8.1838 3.0247 1.0071
Li 10.1682 1.6862 3.7629
Mn 5.8553 6.6361 3.6497
Mn 6.7548 2.0499 5.7817
Mn 6.0911 1.6771 0.0775
Sb 11.1898 4.6422 2.2470
P 2.8944 1.3418 1.4351
P 5.5575 4.8903 0.7876
P 8.6602 4.6423 4.5025
P 11.6157 8.0445 2.9345
P 14.3034 8.6012 6.6613
P 12.9508 4.1584 5.2043
O 5.2651 5.2223 5.0388
O 4.1311 4.4572 1.3272
O 4.6902 2.7140 5.2381
O 1.9701 0.7687 0.3583
O 7.3420 8.1229 2.7335
O 9.5932 8.2758 6.8078
O 6.3155 5.6514 1.8840
O 7.8920 5.9938 4.5090
O 4.2841 1.6713 0.9252
O 7.8140 3.3909 4.5288
O 6.3442 3.5978 0.5141
O 10.6653 8.3924 4.0634
O 9.7514 4.6709 5.5613
O 12.7992 8.7369 6.6813
O 9.3166 4.6594 2.9861
O 7.1672 1.3785 1.7204
O 11.1967 6.6018 2.4063
O 15.0559 9.8840 7.0552
O 12.2603 4.4354 6.5718
O 13.0986 8.0219 3.3332
O 10.3228 4.8450 0.4307
O 11.9109 4.2330 4.0231
O 14.9616 8.0786 5.3590
O 10.8507 2.6697 1.9748
CELL_PARAMETERS angstrom
8.7673 0.0000 0.0000
4.3702 7.6350 0.0000
4.3005 2.5191 7.2586
```

Compound: Li8Mn7SnP12O48
Source: the Materials Project
Functional: GGA+U
Structure: relaxed Values from VASP.

electronic total energy: -6.9786 eV/atom
volume: 917.4 Å³/cell
crystal system: triclinic

Cell and atoms, written as Quantum ESPRESSO input:
```
&SYSTEM
  ibrav = 0, nat = 76, ntyp = 5
/
ATOMIC_SPECIES
Li 6.94 Li.upf
Mn 54.94 Mn.upf
Sn 118.71 Sn.upf
P 30.97 P.upf
O 16.00 O.upf
ATOMIC_POSITIONS angstrom
Li 0.0000 0.0000 0.0000
Li 0.2948 8.3777 7.6583
Li 3.8535 4.3771 0.0082
Li 3.9078 3.8570 7.6699
Li 4.5663 8.8425 1.6680
Li 4.5969 8.3807 5.9612
Li 8.1340 4.3691 1.6569
Li 8.1479 3.8796 6.0411
Mn 4.1858 6.0177 2.4823
Mn 4.0917 2.2493 5.1957
Mn 4.1126 1.6288 11.2687
Mn 8.5022 6.0349 11.2577
Mn 8.3961 2.2507 8.5366
Mn 8.3628 1.6200 2.4609
Mn 8.5333 6.6970 5.1789
Sn 4.2426 6.7139 8.5079
P 1.1126 5.4300 8.0942
P 1.1159 2.8802 11.6700
P 1.7146 4.1865 3.8396
P 2.4323 8.5277 3.8488
P 3.0077 7.3021 11.7542
P 2.8242 1.0551 8.1221
P 5.3496 2.8622 2.0785
P 5.4481 5.4435 5.5833
P 6.0424 4.1551 9.9014
P 6.7919 8.5647 9.8947
P 7.1020 1.0016 5.5594
P 7.2918 7.2843 2.0381
O 0.5443 6.5368 7.1476
O 0.4541 1.8343 0.5728
O 0.6255 4.0440 7.6946
O 0.6792 4.3322 12.0513
O 0.7517 5.8437 9.5363
O 0.6851 2.4918 10.2731
O 0.7623 3.4632 2.8899
O 0.8339 4.9852 4.8755
O 1.4554 7.2787 11.8547
O 1.2723 1.0523 7.9892
O 1.3721 0.6235 2.9501
O 1.6015 7.5869 4.7567
O 2.5452 5.1162 2.9247
O 2.5025 3.2257 4.7338
O 2.6811 5.4285 7.9807
O 2.6716 2.8711 11.8072
O 3.0925 0.4074 4.8016
O 3.3348 7.7229 2.8384
O 3.4144 6.8716 10.3378
O 3.2688 1.3657 9.5386
O 3.4655 8.6798 0.0414
O 3.5245 8.4686 7.6838
O 3.4576 2.0731 7.1471
O 3.5807 6.1868 0.6018
O 4.8591 6.5687 6.5038
O 4.7273 1.8173 1.1122
O 4.9055 4.3102 1.6898
O 4.9609 4.0709 6.0248
O 4.9223 2.4898 3.4875
O 5.0511 5.8004 4.1411
O 5.1338 4.9094 8.8685
O 5.1041 3.4469 10.8790
O 5.5433 1.0066 5.7013
O 5.7326 7.2644 1.9421
O 5.7044 0.6606 10.7769
O 5.9692 7.6018 9.0299
O 6.8637 5.1176 10.7922
O 6.8299 3.1926 9.0088
O 6.9009 2.8625 1.9385
O 7.0037 5.4754 5.7124
O 7.6707 7.7598 10.9229
O 7.4630 0.4372 8.9456
O 7.4994 1.3258 4.1288
O 7.6983 6.8852 3.4780
O 7.7768 8.6670 1.6283
O 7.8109 8.4058 5.9639
O 7.7273 2.0296 6.5178
O 7.8781 6.1740 1.1023
CELL_PARAMETERS angstrom
8.5702 0.0000 0.0000
0.2785 8.8588 0.0000
0.0413 0.0131 12.0835
```

Compound: Li6Mn3SnP6O24
Source: the Materials Project
Functional: GGA+U
Structure: relaxed Values from VASP.

electronic total energy: -6.8404 eV/atom
volume: 476.0 Å³/cell
crystal system: triclinic

Cell and atoms, written as Quantum ESPRESSO input:
```
&SYSTEM
  ibrav = 0, nat = 40, ntyp = 5
/
ATOMIC_SPECIES
Li 6.94 Li.upf
Mn 54.94 Mn.upf
Sn 118.71 Sn.upf
P 30.97 P.upf
O 16.00 O.upf
ATOMIC_POSITIONS angstrom
Li 0.0000 0.0000 0.0000
Li 6.2525 6.2434 6.6117
Li 6.5131 2.9928 5.2686
Li 8.1935 6.8711 0.7723
Li 9.1048 3.5841 3.3413
Li 10.9558 5.6974 1.9142
Mn 4.2865 1.6343 4.4074
Mn 8.3425 4.1095 0.7340
Mn 13.2548 7.1099 2.8742
Sn 9.1102 4.6380 6.4951
P 2.4435 1.9847 1.5133
P 5.3324 5.4633 0.0083
P 7.8265 6.0083 3.6586
P 6.7553 1.5228 2.2535
P 13.8160 9.0190 5.7818
P 12.2739 4.9373 5.0407
O 1.4234 0.8151 1.6079
O 4.5601 3.6464 4.9906
O 4.3155 5.9568 1.0541
O 3.3947 2.0087 2.6848
O 6.3649 6.0928 3.2195
O 3.1416 1.7130 0.1109
O 9.4042 9.0918 6.1346
O 8.8877 6.6220 6.8366
O 8.3510 7.3198 4.1895
O 7.8782 4.8665 4.7932
O 6.0109 1.8358 3.5757
O 6.7877 5.4019 0.4745
O 5.7775 1.4443 1.0323
O 8.7591 5.4749 2.5253
O 8.8894 2.6166 5.9526
O 7.7667 2.6640 2.1133
O 10.7631 4.5963 5.3129
O 11.3921 7.7943 2.2524
O 13.7597 8.2788 7.1463
O 13.2993 8.2681 4.5848
O 12.8777 5.7824 6.1693
O 12.2119 5.6636 3.6715
O 10.3363 3.3869 1.3895
O 15.3025 9.4454 5.6248
CELL_PARAMETERS angstrom
8.5477 0.0000 0.0000
3.9719 7.6699 0.0000
4.0955 2.5661 7.2607
```

no.,ΔH_f (0 K) (eV per atom)
1,-2.448
2,-2.452
3,-2.485
4,-2.475
5,-2.482
6,-2.489
7,-2.523